Entry from the Materials Project: an optimized crystal structure of LiCuF3 (r²SCAN).

Cell: 9.656 3.206 7.504 Å, 74.44 90.00 90.00°
Positions (direct):
Li  0.809  0.997  0.515
Li  0.309  0.003  0.985
Li  0.691  0.997  0.015
Li  0.191  0.003  0.485
Cu  0.494  0.685  0.688
Cu  0.994  0.315  0.812
Cu  0.006  0.685  0.188
Cu  0.506  0.315  0.312
F  0.092  0.829  0.703
F  0.643  0.430  0.130
F  0.117  0.155  0.027
F  0.617  0.845  0.473
F  0.592  0.171  0.797
F  0.857  0.430  0.630
F  0.143  0.570  0.370
F  0.408  0.829  0.203
F  0.383  0.155  0.527
F  0.883  0.845  0.973
F  0.357  0.570  0.870
F  0.908  0.171  0.297

## Properties
Spin magnetization = 0.20 μB per atom
Space-group type = P2_1/c (14)
Crystal system = monoclinic
Energy of formation = -2333 meV/atom